[1]
A plane-wave DFT calculation with PBE was carried out for a geometry-optimized ZrPbO3 structure.

Unit cell a=5.9274 b=8.3543 c=5.8893 alpha=90.00 beta=90.00 gamma=90.00
Closest atoms and distances in Å follow each position.
Space group Pnma (No. 62)
Symmetry-distinct sites (fractional):
Zr (0.0000, 0.0000, 0.0000)  6 O 2.14
Pb (0.0239, 0.2500, 0.4931)  4 O 2.54-2.77
O (0.0158, 0.7500, 0.0772)  2 Zr 2.14
O (0.2125, 0.5402, 0.7115)  2 Zr 2.14

Summary:
Its crystal system is orthorhombic. The energy of formation comes out at -2.841 eV/atom. The total energy comes out at -7.850 eV/atom. The spin magnetization is 0.000 μB per formula unit.

[2]
A plane-wave DFT calculation with PBE was carried out for a geometry-optimized CsBrF structure.

Unit cell a=4.3993 b=4.3993 c=20.1585 alpha=90.00 beta=90.00 gamma=90.00
Closest atoms and distances in Å follow each position.
Space group I4/mmm (No. 139)
Symmetry-distinct sites (fractional):
Cs (0.0000, 0.0000, 0.1692)  5 F 2.97-3.12
Br (0.0000, 0.0000, 0.4401)  1 Br 2.41, 1 F 2.49
F (0.0000, 0.0000, 0.3167)  1 Br 2.49

Summary:
Its crystal system is tetragonal. The energy of formation comes out at -1.957 eV/atom. The total energy comes out at -3.285 eV/atom.

[3]
A plane-wave DFT calculation with PBE was carried out for a geometry-optimized Ca8H3N4 structure.

Unit cell a=7.1813 b=7.1830 c=29.6356 alpha=96.92 beta=90.04 gamma=119.94
Closest atoms and distances in Å follow each position.
Space group P-1 (No. 2)
Symmetry-distinct sites (fractional):
Ca (0.2118, 0.1772, 0.3531)  1 N 2.01, 1 H 2.21
Ca (0.2123, 0.3780, 0.9527)  1 N 2.00, 1 H 2.21
Ca (0.2123, 0.7780, 0.1527)  1 N 2.00, 1 H 2.21
Ca (0.2123, 0.9780, 0.7528)  1 N 2.00, 1 H 2.21
Ca (0.2156, 0.5822, 0.5520)  1 N 2.00, 1 H 2.21
Ca (0.2354, 0.2705, 0.6472)  1 N 2.01
Ca (0.2349, 0.6911, 0.3575)  1 N 2.02, 1 H 2.19
Ca (0.2363, 0.0705, 0.0472)  1 N 2.02
Ca (0.2363, 0.2911, 0.1575)  1 N 2.02, 1 H 2.20
Ca (0.2364, 0.4705, 0.2472)  1 N 2.02
Ca (0.2363, 0.4911, 0.7575)  1 N 2.02, 1 H 2.20
Ca (0.2363, 0.6705, 0.8473)  1 N 2.02
Ca (0.2363, 0.8911, 0.9575)  1 N 2.02, 1 H 2.20
Ca (0.2373, 0.8177, 0.6480)  1 N 1.98
Ca (0.2384, 0.0187, 0.2477)  1 N 1.98
Ca (0.2384, 0.2186, 0.8477)  1 N 1.98
Ca (0.2384, 0.6186, 0.0477)  1 N 1.98
Ca (0.2410, 0.0912, 0.5576)  1 N 1.99
Ca (0.2409, 0.4228, 0.4469)  1 N 1.97
Ca (0.2406, 0.8705, 0.4472)  1 N 2.04, 1 H 2.17
H (0.0000, 0.2000, 0.1000)  2 Ca 2.20
H (0.0000, 0.4000, 0.7000)  2 Ca 2.19-2.20
H (0.4992, 0.7000, 0.6000)  2 Ca 2.21
H (0.5000, 0.0000, 0.5000)  2 Ca 2.17
H (0.5001, 0.1000, 0.3000)  2 Ca 2.22-2.23
H (0.5000, 0.1000, 0.8000)  2 Ca 2.21
H (0.5000, 0.3000, 0.9000)  2 Ca 2.23
H (0.5000, 0.5000, 0.0000)  2 Ca 2.21
H (0.5000, 0.5000, 0.5000)  2 Ca 2.24
N (0.0000, 0.0000, 0.0000)  2 Ca 2.02
N (0.9998, 0.1000, 0.3000)  2 Ca 2.00-2.01
N (0.0000, 0.1000, 0.8000)  2 Ca 1.98
N (0.0004, 0.2004, 0.5998)  2 Ca 2.01-2.04
N (0.9997, 0.3000, 0.4000)  2 Ca 1.97-1.98
N (0.0000, 0.3000, 0.9000)  2 Ca 2.00
N (0.0000, 0.4000, 0.2000)  2 Ca 2.02
N (0.0000, 0.5000, 0.0000)  2 Ca 1.98
N (0.0000, 0.5000, 0.5000)  2 Ca 2.00
N (0.5000, 0.0000, 0.0000)  2 Ca 2.02
N (0.4997, 0.1996, 0.6001)  2 Ca 1.99-2.02
N (0.5000, 0.4000, 0.2000)  2 Ca 2.02

Summary:
Its crystal system is triclinic. The energy of formation comes out at -0.320 eV/atom. The total energy comes out at -4.195 eV/atom. The calculation puts the energy above the most stable polymorph in this dataset at 541.1 meV/atom. The spin magnetization is 0.964 μB per formula unit.

[4]
A plane-wave DFT calculation with PBE was carried out for a geometry-optimized Mg6CuCO8 structure.

Unit cell a=4.2109 b=4.2109 c=8.4909 alpha=90.00 beta=90.00 gamma=90.00
Closest atoms and distances in Å follow each position.
Space group P4/mmm (No. 123)
Symmetry-distinct sites (fractional):
Mg (0.0000, 0.0000, 0.0000)  6 O 2.11
Mg (0.0000, 0.0000, 0.5000)  6 O 2.11-2.13
Mg (0.0000, 0.5000, 0.2464)  6 O 2.09-2.15
Cu (0.5000, 0.5000, 0.5000)  6 O 2.11-2.18
C (0.5000, 0.5000, 0.0000)  6 O 2.06-2.11
O (0.0000, 0.0000, 0.2486)  6 Mg 2.11-2.13
O (0.0000, 0.5000, 0.0000)  4 Mg 2.09-2.11, 2 C 2.11
O (0.0000, 0.5000, 0.5000)  4 Mg 2.11-2.15, 2 Cu 2.11
O (0.5000, 0.5000, 0.2431)  1 C 2.06, 4 Mg 2.11, 1 Cu 2.18

Summary:
Its crystal system is tetragonal. The energy of formation comes out at -2.155 eV/atom. The total energy comes out at -5.719 eV/atom. The calculation puts the energy above the most stable polymorph in this dataset at 0.0 meV/atom. The spin magnetization is 0.000 μB per formula unit.

[5]
A plane-wave DFT calculation with PBE was carried out for a geometry-optimized KLiO structure.

Unit cell a=8.8106 b=6.4659 c=6.4999 alpha=90.00 beta=90.00 gamma=90.00
Closest atoms and distances in Å follow each position.
Space group Cmce (No. 64)
Symmetry-distinct sites (fractional):
K (0.1756, 0.0000, 0.0000)  4 O 2.85-2.88, 6 Li 2.99-3.08, 1 K 3.10
Li (0.0000, 0.1252, 0.3740)  3 O 1.89-1.93
O (0.0000, 0.1696, 0.6671)  3 Li 1.89-1.93

Summary:
Its crystal system is orthorhombic. The energy of formation comes out at -1.642 eV/atom. The total energy comes out at -4.069 eV/atom.

[6]
A plane-wave DFT calculation with PBE was carried out for a geometry-optimized Ca2SiO4 structure.

Unit cell a=5.6254 b=5.6254 c=6.8081 alpha=90.00 beta=90.00 gamma=120.00
Closest atoms and distances in Å follow each position.
Space group P-3m1 (No. 164)
Symmetry-distinct sites (fractional):
Ca (0.0000, 0.0000, 0.0000)  6 O 2.23
Ca (0.0000, 0.0000, 0.5000)  6 O 2.63
Ca (0.3333, 0.6667, 0.1561)  1 O 2.08
Si (0.3333, 0.6667, 0.6977)  4 O 1.60-1.65
O (0.1772, 0.3544, 0.7922)  1 Si 1.65
O (0.3333, 0.6667, 0.4623)  1 Si 1.60

Summary:
Its crystal system is trigonal. The energy of formation comes out at -3.337 eV/atom. The total energy comes out at -7.119 eV/atom. The calculation puts the energy above the most stable polymorph in this dataset at 140.1 meV/atom. The spin magnetization is 0.002 μB per formula unit.